# 1
CuAsPbS3 (PBE, optimized geometry); mass density = 5.24 Mg/m³; E_form = -3.3 eV per formula unit; raw total energy = -106.86 eV per cell
1.0
-2.402 -6.240 -3.826
4.437 -4.745 4.953
-6.944 -0.719 5.532
Cu S As Pb
4 12 4 4
direct
0.239 0.223 0.930 Cu
0.739 0.777 0.430 Cu
0.761 0.223 0.930 Cu
0.261 0.777 0.430 Cu
0.227 0.393 0.139 S
0.000 0.249 0.782 S
0.275 0.946 0.995 S
0.500 0.751 0.282 S
0.775 0.054 0.495 S
0.773 0.393 0.139 S
0.225 0.054 0.495 S
0.500 0.280 0.800 S
0.273 0.607 0.639 S
0.000 0.720 0.300 S
0.725 0.946 0.995 S
0.727 0.607 0.639 S
0.000 0.566 0.080 As
0.500 0.998 0.159 As
0.000 0.002 0.659 As
0.500 0.434 0.580 As
0.500 0.578 0.003 Pb
0.000 0.057 0.193 Pb
0.500 0.943 0.693 Pb
0.000 0.422 0.503 Pb

# 2
MgSi (PBE, optimized geometry); mass density = 2.46 Mg/m³; E_form = 0.3 eV per formula unit; raw total energy = -13.55 eV per cell
1.0
1.483 5.330 0.000
-1.483 5.330 0.000
0.000 1.653 4.481
Si Mg
2 2
direct
0.348 0.348 0.842 Si
0.652 0.652 0.158 Si
0.106 0.106 0.686 Mg
0.894 0.894 0.314 Mg

# 3
NdTlAg2 (PBE, optimized geometry); mass density = 9.98 Mg/m³; E_form = -1.0 eV per formula unit; raw total energy = -13.82 eV per cell
1.0
0.000 3.607 3.607
3.607 0.000 3.607
3.607 3.607 0.000
Tl Nd Ag
1 1 2
direct
0.000 0.000 0.000 Tl
0.500 0.500 0.500 Nd
0.750 0.750 0.750 Ag
0.250 0.250 0.250 Ag

# 4
BeC2 (PBE, optimized geometry); mass density = 1.07 Mg/m³; distance to the lowest polymorph of the same formula = 164 meV per atom; E_form = 3.0 eV per formula unit; raw total energy = -76.65 eV per cell
1.0
-5.195 -1.982 -1.954
0.675 -4.911 3.187
-2.700 2.586 4.556
C Be
8 4
direct
0.909 0.091 0.909 C
0.091 0.091 0.091 C
0.909 0.909 0.091 C
0.409 0.409 0.409 C
0.591 0.591 0.409 C
0.091 0.909 0.909 C
0.409 0.591 0.591 C
0.591 0.409 0.591 C
0.750 0.750 0.250 Be
0.750 0.250 0.750 Be
0.250 0.250 0.250 Be
0.250 0.750 0.750 Be

# 5
TmNi4P2 (PBE, optimized geometry); mass density = 8.75 Mg/m³; E_form = -5.9 eV per formula unit; raw total energy = -88.57 eV per cell
1.0
0.000 0.000 3.587
7.021 0.000 0.000
0.000 7.021 0.000
Ni P Tm
8 4 2
direct
0.500 0.837 0.414 Ni
0.500 0.163 0.586 Ni
0.000 0.663 0.914 Ni
0.500 0.414 0.837 Ni
0.000 0.086 0.337 Ni
0.500 0.586 0.163 Ni
0.000 0.337 0.086 Ni
0.000 0.914 0.663 Ni
0.000 0.219 0.781 P
0.500 0.719 0.719 P
0.000 0.781 0.219 P
0.500 0.281 0.281 P
0.000 0.500 0.500 Tm
0.500 0.000 0.000 Tm

# 6
K2P2H2O7 (PBE, optimized geometry); mass density = 2.16 Mg/m³; distance to the lowest polymorph of the same formula = 22 meV per atom; E_form = -30.3 eV per formula unit; raw total energy = -319.83 eV per cell
1.0
8.396 0.000 0.000
0.435 8.432 0.000
0.888 1.676 11.021
H O K P
8 28 8 8
direct
0.974 0.202 0.665 H
0.098 0.709 0.458 H
0.902 0.291 0.542 H
0.905 0.055 0.858 H
0.258 0.993 0.181 H
0.026 0.798 0.335 H
0.742 0.007 0.819 H
0.095 0.945 0.142 H
0.775 0.467 0.194 O
0.931 0.569 0.752 O
0.452 0.313 0.096 O
0.346 0.885 0.806 O
0.036 0.696 0.927 O
0.883 0.204 0.301 O
0.532 0.636 0.238 O
0.548 0.687 0.904 O
0.709 0.987 0.412 O
0.105 0.071 0.772 O
0.117 0.796 0.699 O
0.892 0.280 0.630 O
0.470 0.668 0.687 O
0.210 0.948 0.116 O
0.225 0.533 0.806 O
0.108 0.720 0.370 O
0.468 0.364 0.762 O
0.291 0.013 0.588 O
0.964 0.304 0.073 O
0.530 0.332 0.313 O
0.691 0.501 0.419 O
0.309 0.499 0.581 O
0.637 0.894 0.716 O
0.895 0.929 0.228 O
0.363 0.106 0.284 O
0.069 0.431 0.248 O
0.654 0.115 0.194 O
0.790 0.052 0.884 O
0.719 0.373 0.915 K
0.796 0.706 0.558 K
0.281 0.627 0.085 K
0.587 0.192 0.580 K
0.756 0.789 0.056 K
0.413 0.808 0.420 K
0.204 0.294 0.442 K
0.244 0.211 0.944 K
0.632 0.497 0.297 P
0.059 0.647 0.804 P
0.941 0.353 0.196 P
0.213 0.955 0.711 P
0.485 0.216 0.216 P
0.787 0.045 0.289 P
0.515 0.784 0.784 P
0.368 0.503 0.703 P

# 7
Ho4Al24Pt9 (PBE, optimized geometry); mass density = 7.99 Mg/m³; E_form = -33.5 eV per formula unit; raw total energy = -196.41 eV per cell
1.0
2.563 6.771 1.955
1.115 1.665 7.279
13.042 -2.145 -0.225
Al Pt Ho
24 9 4
direct
0.438 0.506 0.671 Al
0.647 0.501 0.055 Al
0.938 0.368 0.184 Al
0.685 0.834 0.944 Al
0.147 0.832 0.561 Al
0.217 0.165 0.329 Al
0.855 0.041 0.816 Al
0.479 0.167 0.558 Al
0.266 0.837 0.817 Al
0.783 0.835 0.671 Al
0.315 0.166 0.056 Al
0.062 0.632 0.816 Al
0.734 0.163 0.183 Al
0.353 0.499 0.945 Al
0.984 0.832 0.047 Al
0.891 0.840 0.330 Al
0.145 0.959 0.184 Al
0.814 0.501 0.559 Al
0.016 0.168 0.953 Al
0.562 0.494 0.329 Al
0.186 0.499 0.441 Al
0.853 0.168 0.439 Al
0.521 0.833 0.442 Al
0.109 0.160 0.670 Al
0.221 0.825 0.363 Pt
0.539 0.167 0.361 Pt
0.343 0.829 0.000 Pt
0.779 0.175 0.637 Pt
0.461 0.833 0.639 Pt
0.880 0.507 0.361 Pt
0.120 0.493 0.639 Pt
0.657 0.171 0.000 Pt
0.000 0.500 0.000 Pt
0.393 0.169 0.808 Ho
0.266 0.502 0.193 Ho
0.607 0.831 0.192 Ho
0.734 0.498 0.807 Ho

# 8
Te2MoWS2 (PBE, optimized geometry); mass density = 4.25 Mg/m³; distance to the lowest polymorph of the same formula = 73 meV per atom; E_form = -3.4 eV per formula unit; raw total energy = -40.72 eV per cell
1.0
1.682 -2.913 0.000
1.682 2.913 0.000
0.000 0.000 23.919
Te S W Mo
2 2 1 1
direct
0.667 0.333 0.230 Te
0.667 0.333 0.071 Te
0.333 0.667 0.515 S
0.333 0.667 0.388 S
0.333 0.667 0.150 W
0.667 0.333 0.451 Mo

# 9
MoWSe4 (PBE, optimized geometry); mass density = 7.20 Mg/m³; distance to the lowest polymorph of the same formula = 125 meV per atom; E_form = -5.6 eV per formula unit; raw total energy = -41.48 eV per cell
1.0
1.664 -2.882 0.000
1.664 2.882 0.000
0.000 0.000 14.323
Mo Se W
1 4 1
direct
0.333 0.667 0.500 Mo
0.333 0.667 0.117 Se
0.667 0.333 0.383 Se
0.667 0.333 0.617 Se
0.333 0.667 0.883 Se
0.667 0.333 0.000 W

# 10
Y3Rh2 (PBE, optimized geometry); mass density = 6.76 Mg/m³; E_form = -3.7 eV per formula unit; raw total energy = -529.30 eV per cell
1.0
-5.659 5.659 12.691
5.659 -5.659 12.691
5.659 5.659 -12.691
Y Rh
42 28
direct
0.850 0.350 0.199 Y
0.150 0.650 0.801 Y
0.727 0.017 0.131 Y
0.983 0.113 0.710 Y
0.750 0.250 0.500 Y
0.612 0.112 0.500 Y
0.775 0.647 0.279 Y
0.147 0.275 0.279 Y
0.225 0.353 0.721 Y
0.250 0.750 0.500 Y
0.504 0.225 0.872 Y
0.632 0.504 0.279 Y
0.017 0.887 0.290 Y
0.483 0.773 0.869 Y
0.888 0.388 0.500 Y
0.650 0.850 0.500 Y
0.387 0.517 0.290 Y
0.904 0.613 0.131 Y
0.613 0.483 0.710 Y
0.996 0.868 0.721 Y
0.404 0.273 0.290 Y
0.004 0.132 0.279 Y
0.496 0.775 0.128 Y
0.350 0.150 0.500 Y
0.096 0.387 0.869 Y
0.517 0.227 0.131 Y
0.725 0.004 0.872 Y
0.368 0.496 0.721 Y
0.113 0.404 0.131 Y
0.112 0.612 0.500 Y
0.868 0.147 0.872 Y
0.227 0.096 0.710 Y
0.273 0.983 0.869 Y
0.275 0.996 0.128 Y
0.596 0.727 0.710 Y
0.853 0.725 0.721 Y
0.773 0.904 0.290 Y
0.353 0.632 0.128 Y
0.647 0.368 0.872 Y
0.132 0.853 0.128 Y
0.887 0.596 0.869 Y
0.388 0.888 0.500 Y
0.404 0.904 0.307 Rh
0.715 0.215 0.142 Rh
0.250 0.250 0.000 Rh
0.843 0.343 0.810 Rh
0.927 0.427 0.142 Rh
0.073 0.573 0.858 Rh
0.904 0.596 0.500 Rh
0.466 0.966 0.810 Rh
0.366 0.366 0.000 Rh
0.596 0.096 0.693 Rh
0.573 0.715 0.500 Rh
0.966 0.157 0.500 Rh
0.785 0.927 0.500 Rh
0.500 0.500 0.000 Rh
0.634 0.634 0.000 Rh
0.343 0.534 0.500 Rh
0.866 0.866 0.000 Rh
0.215 0.073 0.500 Rh
0.157 0.657 0.190 Rh
0.427 0.285 0.500 Rh
0.285 0.785 0.858 Rh
0.134 0.134 0.000 Rh
0.096 0.404 0.500 Rh
0.750 0.750 0.000 Rh
0.034 0.843 0.500 Rh
0.000 0.000 0.000 Rh
0.657 0.466 0.500 Rh
0.534 0.034 0.190 Rh

# 11
CeSe2 (PBE, optimized geometry); mass density = 5.20 Mg/m³; E_form = -5.0 eV per formula unit; raw total energy = -33.92 eV per cell
1.0
2.058 -3.564 0.000
2.058 3.564 0.000
0.000 0.000 12.984
Se Ce
4 2
direct
0.333 0.667 0.879 Se
0.667 0.333 0.379 Se
0.667 0.333 0.121 Se
0.333 0.667 0.621 Se
0.333 0.667 0.250 Ce
0.667 0.333 0.750 Ce

# 12
Ca4PtN4 (PBE, optimized geometry); mass density = 4.89 Mg/m³; distance to the lowest polymorph of the same formula = 61 meV per atom; E_form = -5.7 eV per formula unit; raw total energy = -103.48 eV per cell
1.0
-4.229 3.110 -3.152
-5.272 -1.566 2.407
-2.528 5.369 6.179
Ca N Pt
8 8 2
direct
0.788 0.030 0.373 Ca
0.196 0.433 0.851 Ca
0.300 0.828 0.014 Ca
0.740 0.456 0.582 Ca
0.700 0.172 0.986 Ca
0.212 0.970 0.627 Ca
0.260 0.544 0.418 Ca
0.804 0.567 0.149 Ca
0.029 0.139 0.119 N
0.462 0.133 0.759 N
0.991 0.675 0.610 N
0.490 0.376 0.221 N
0.971 0.861 0.881 N
0.510 0.624 0.779 N
0.009 0.325 0.390 N
0.538 0.867 0.241 N
0.277 0.159 0.242 Pt
0.723 0.841 0.758 Pt

What did the ninth record say?
MoWSe4 (PBE, optimized geometry); mass density = 7.20 Mg/m³; distance to the lowest polymorph of the same formula = 125 meV per atom; E_form = -5.6 eV per formula unit; raw total energy = -41.48 eV per cell
1.0
1.664 -2.882 0.000
1.664 2.882 0.000
0.000 0.000 14.323
Mo Se W
1 4 1
direct
0.333 0.667 0.500 Mo
0.333 0.667 0.117 Se
0.667 0.333 0.383 Se
0.667 0.333 0.617 Se
0.333 0.667 0.883 Se
0.667 0.333 0.000 W